[1]
Be2IrPd: optimized geometry, PBE-GGA.

Values from the calculation:
* calculated total energy: -5.976 eV per atom
* DFT formation energy: -232 kJ/mol of formula units

Lattice parameters (Å, degrees): 5.625 5.625 5.625 90.00 90.00 90.00
Space group Fm-3m (No. 225)
One atom of each set of equivalent atoms:
Be (0.250, 0.250, 0.250)
Ir (0.000, 0.000, 0.000)
Pd (0.000, 0.000, 0.500)

=====

[2]
Cs2KGaCl6: optimized geometry, PBE-GGA.

Values from the calculation:
* calculated total energy: -3.348 eV per atom
* DFT formation energy: -1944 kJ/mol of formula units

Lattice parameters (Å, degrees): 10.894 10.894 10.894 90.00 90.00 90.00
Space group Fm-3m (No. 225)
One atom of each set of equivalent atoms:
Cs (0.250, 0.250, 0.250)
K (0.000, 0.000, 0.000)
Ga (0.000, 0.000, 0.500)
Cl (0.000, 0.000, 0.279)

=====

[3]
Ce3Ni13B2: optimized geometry, PBE-GGA.

Values from the calculation:
* calculated total energy: -6.329 eV per atom
* DFT formation energy: -735 kJ/mol of formula units

Lattice parameters (Å, degrees): 4.9260 4.9260 10.9925 90.00 90.00 120.00
Space group P6/mmm (No. 191)
One atom of each set of equivalent atoms:
Ce (0.0000, 0.0000, 0.0000)
Ce (0.0000, 0.0000, 0.3309)
Ni (0.0000, 0.5000, 0.1329)
Ni (0.0000, 0.5000, 0.5000)
Ni (0.3333, 0.6667, 0.3179)
B (0.3333, 0.6667, 0.0000)

=====

[4]
CaTiAgP3O12: optimized geometry, PBE-GGA.

Values from the calculation:
* calculated total energy: -7.071 eV per atom
* DFT formation energy: -4551 kJ/mol of formula units

Lattice parameters (Å, degrees): 8.8518 8.8518 21.8641 90.00 90.00 120.00
Space group R3c (No. 161, hexagonal axes)
One atom of each set of equivalent atoms:
Ca (0.0000, 0.0000, 0.0000)
Ti (0.0000, 0.0000, 0.1526)
Ag (0.0000, 0.0000, 0.3543)
P (0.0084, 0.2993, 0.2548)
O (0.0086, 0.1899, 0.9209)
O (0.0154, 0.1910, 0.1990)
O (0.1248, 0.4437, 0.9827)
O (0.1808, 0.4798, 0.2530)

=====

[5]
Ba2ZnP2F: optimized geometry, PBE-GGA.

Values from the calculation:
* calculated total energy: -3.274 eV per atom
* DFT formation energy: -219 kJ/mol of formula units

Lattice parameters (Å, degrees): 3.810 3.810 15.416 90.00 90.00 90.00
Space group P4/mmm (No. 123)
One atom of each set of equivalent atoms:
Ba (0.000, 0.000, 0.160)
Zn (0.000, 0.000, 0.500)
P (0.000, 0.000, 0.357)
F (0.000, 0.000, 0.000)

=====

[6]
Mg14CuSiO16: optimized geometry, PBE-GGA.

Values from the calculation:
* calculated total energy: -5.932 eV per atom
* DFT formation energy: -8657 kJ/mol of formula units
* distance to the lowest polymorph of the same formula: 0.000 eV/atom

Lattice parameters (Å, degrees): 4.251 8.556 8.593 90.00 90.00 90.00
Space group Pmmm (No. 47)
One atom of each set of equivalent atoms:
Mg (0.000, 0.000, 0.000)
Mg (0.000, 0.244, 0.249)
Mg (0.000, 0.500, 0.000)
Mg (0.500, 0.000, 0.252)
Mg (0.500, 0.243, 0.500)
Mg (0.500, 0.247, 0.000)
Mg (0.500, 0.500, 0.249)
Cu (0.000, 0.000, 0.500)
Si (0.000, 0.500, 0.500)
O (0.000, 0.000, 0.234)
O (0.000, 0.256, 0.000)
O (0.000, 0.289, 0.500)
O (0.000, 0.500, 0.260)
O (0.500, 0.000, 0.000)
O (0.500, 0.000, 0.500)
O (0.500, 0.251, 0.252)
O (0.500, 0.500, 0.000)
O (0.500, 0.500, 0.500)

=====

[7]
Ag2SnBiSe4: optimized geometry, PBE-GGA.

Values from the calculation:
* calculated total energy: -3.663 eV per atom
* DFT formation energy: -351 kJ/mol of formula units

Lattice parameters (Å, degrees): 4.1226 4.1226 40.8653 90.00 90.00 120.00
Space group R3m (No. 160, hexagonal axes)
One atom of each set of equivalent atoms:
Ag (0.0000, 0.0000, 0.0000)
Ag (0.0000, 0.0000, 0.2648)
Sn (0.0000, 0.0000, 0.5150)
Bi (0.0000, 0.0000, 0.7544)
Se (0.0000, 0.0000, 0.1328)
Se (0.0000, 0.0000, 0.3789)
Se (0.0000, 0.0000, 0.6329)
Se (0.0000, 0.0000, 0.8873)

=====

[8]
Ce2AlRu2: optimized geometry, PBE-GGA.

Values from the calculation:
* calculated total energy: -7.349 eV per atom
* DFT formation energy: -249 kJ/mol of formula units

Lattice parameters (Å, degrees): 5.968 10.031 6.929 90.00 90.00 90.00
Space group Cmce (No. 64)
One atom of each set of equivalent atoms:
Ce (0.000, 0.161, 0.081)
Al (0.000, 0.000, 0.500)
Ru (0.250, 0.118, 0.750)

=====

[9]
CeCu6P3O21: optimized geometry, PBE-GGA.

Values from the calculation:
* calculated total energy: -5.973 eV per atom
* DFT formation energy: -3327 kJ/mol of formula units

Lattice parameters (Å, degrees): 13.091 5.769 13.123 90.00 119.56 90.00
Space group P2_1/m (No. 11)
One atom of each set of equivalent atoms:
Ce (0.167, 0.250, 0.334)
Cu (0.095, 0.002, 0.905)
Cu (0.190, 0.502, 0.596)
Cu (0.406, 0.502, 0.310)
P (0.010, 0.250, 0.661)
P (0.161, 0.750, 0.150)
P (0.351, 0.750, 0.510)
O (0.052, 0.750, 0.805)
O (0.064, 0.531, 0.383)
O (0.087, 0.250, 0.800)
O (0.106, 0.250, 0.620)
O (0.116, 0.531, 0.180)
O (0.120, 0.750, 0.014)
O (0.139, 0.750, 0.644)
O (0.143, 0.250, 0.003)
O (0.247, 0.250, 0.551)
O (0.286, 0.750, 0.587)
O (0.301, 0.750, 0.213)
O (0.304, 0.250, 0.253)
O (0.320, 0.531, 0.436)
O (0.428, 0.250, 0.948)
O (0.448, 0.750, 0.020)
O (0.481, 0.750, 0.929)
O (0.486, 0.750, 0.605)
O (0.495, 0.250, 0.639)

=====

[10]
LiNb3InCl9: optimized geometry, PBE-GGA.

Values from the calculation:
* calculated total energy: -4.970 eV per atom
* DFT formation energy: -2267 kJ/mol of formula units
* distance to the lowest polymorph of the same formula: 0.000 eV/atom

Lattice parameters (Å, degrees): 9.404 9.461 9.471 119.25 104.88 96.81
Space group P-1 (No. 2)
One atom of each set of equivalent atoms:
Li (0.118, 0.048, 0.189)
Nb (0.358, 0.300, 0.979)
Nb (0.361, 0.429, 0.753)
Nb (0.368, 0.655, 0.108)
In (0.157, 0.732, 0.516)
Cl (0.167, 0.037, 0.943)
Cl (0.169, 0.177, 0.682)
Cl (0.170, 0.337, 0.439)
Cl (0.178, 0.445, 0.100)
Cl (0.180, 0.598, 0.834)
Cl (0.200, 0.845, 0.248)
Cl (0.488, 0.082, 0.849)
Cl (0.492, 0.237, 0.584)
Cl (0.497, 0.348, 0.266)

=====

[11]
NbO2: optimized geometry, PBE-GGA.

Values from the calculation:
* calculated total energy: -8.898 eV per atom
* DFT formation energy: -779 kJ/mol of formula units

Lattice parameters (Å, degrees): 11.451 11.503 11.918 91.23 99.90 90.68
Space group P1 (No. 1)
One atom of each set of equivalent atoms:
Nb (0.000, 0.000, 0.000)
Nb (0.001, 0.506, 0.995)
Nb (0.046, 0.205, 0.136)
Nb (0.073, 0.039, 0.557)
Nb (0.113, 0.805, 0.452)
Nb (0.137, 0.387, 0.537)
Nb (0.142, 0.466, 0.855)
Nb (0.227, 0.906, 0.815)
Nb (0.233, 0.399, 0.084)
Nb (0.288, 0.737, 0.091)
Nb (0.289, 0.655, 0.657)
Nb (0.326, 0.346, 0.349)
Nb (0.399, 0.643, 0.348)
Nb (0.420, 0.376, 0.580)
Nb (0.432, 0.662, 0.864)
Nb (0.471, 0.537, 0.159)
Nb (0.502, 0.228, 0.150)
Nb (0.504, 0.874, 0.261)
Nb (0.508, 0.952, 0.996)
Nb (0.620, 0.629, 0.627)
Nb (0.644, 0.719, 0.381)
Nb (0.655, 0.424, 0.955)
Nb (0.674, 0.206, 0.673)
Nb (0.708, 0.974, 0.442)
Nb (0.784, 0.257, 0.209)
Nb (0.791, 0.087, 0.051)
Nb (0.795, 0.602, 0.154)
Nb (0.845, 0.754, 0.878)
Nb (0.882, 0.222, 0.892)
Nb (0.887, 0.260, 0.519)
Nb (0.942, 0.606, 0.620)
Nb (0.961, 0.031, 0.267)
Nb (0.963, 0.775, 0.129)
Nb (0.991, 0.454, 0.283)
O (0.001, 0.891, 0.542)
O (0.014, 0.669, 0.505)
O (0.023, 0.842, 0.301)
O (0.048, 0.176, 0.962)
O (0.049, 0.106, 0.397)
O (0.059, 0.483, 0.676)
O (0.060, 0.407, 0.133)
O (0.068, 0.247, 0.589)
O (0.095, 0.033, 0.163)
O (0.112, 0.954, 0.897)
O (0.136, 0.777, 0.118)
O (0.151, 0.441, 0.379)
O (0.169, 0.035, 0.699)
O (0.187, 0.562, 0.024)
O (0.195, 0.949, 0.484)
O (0.203, 0.793, 0.676)
O (0.220, 0.262, 0.198)
O (0.243, 0.348, 0.924)
O (0.249, 0.701, 0.470)
O (0.264, 0.285, 0.490)
O (0.271, 0.578, 0.807)
O (0.273, 0.774, 0.914)
O (0.278, 0.475, 0.618)
O (0.315, 0.489, 0.241)
O (0.343, 0.791, 0.277)
O (0.369, 0.986, 0.868)
O (0.388, 0.875, 0.097)
O (0.402, 0.480, 0.445)
O (0.413, 0.632, 0.029)
O (0.421, 0.377, 0.093)
O (0.431, 0.105, 0.066)
O (0.453, 0.267, 0.298)
O (0.463, 0.669, 0.696)
O (0.507, 0.248, 0.657)
O (0.517, 0.805, 0.913)
O (0.518, 0.697, 0.495)
O (0.534, 0.512, 0.872)
O (0.547, 0.007, 0.359)
O (0.559, 0.565, 0.317)
O (0.566, 0.477, 0.635)
O (0.601, 0.914, 0.143)
O (0.626, 0.540, 0.094)
O (0.631, 0.045, 0.956)
O (0.635, 0.303, 0.069)
O (0.645, 0.156, 0.217)
O (0.659, 0.084, 0.568)
O (0.705, 0.697, 0.769)
O (0.708, 0.309, 0.847)
O (0.737, 0.824, 0.505)
O (0.762, 0.690, 0.277)
O (0.772, 0.314, 0.607)
O (0.777, 0.580, 0.574)
O (0.789, 0.729, 0.032)
O (0.793, 0.245, 0.378)
O (0.807, 0.128, 0.768)
O (0.810, 0.496, 0.992)
O (0.814, 0.988, 0.341)
O (0.816, 0.439, 0.228)
O (0.864, 0.259, 0.058)
O (0.868, 0.912, 0.878)
O (0.882, 0.940, 0.109)
O (0.899, 0.098, 0.553)
O (0.940, 0.704, 0.744)
O (0.964, 0.413, 0.459)
O (0.970, 0.391, 0.865)
O (0.973, 0.278, 0.265)
O (0.980, 0.674, 0.967)
O (0.988, 0.604, 0.202)